# 1
# Mn3Al4FeP4H16O28

A relaxed Mn3Al4FeP4H16O28 crystal (PBE with a Hubbard U, Materials Project).

raw total energy = -6.389 eV/atom
DFT formation energy = -2.12 eV/atom

Lattice parameters (Å, degrees): 6.594 6.594 13.052 89.85 89.85 108.13
Fractional positions:
Mn: 0.359 0.641 0.000
Mn: 0.875 0.125 0.000
Mn: 0.624 0.376 0.500
Al: 0.012 0.036 0.259
Al: 0.534 0.507 0.242
Al: 0.964 0.988 0.741
Al: 0.493 0.466 0.758
Fe: 0.138 0.862 0.500
P: 0.137 0.375 0.583
P: 0.870 0.640 0.918
P: 0.360 0.130 0.082
P: 0.625 0.863 0.417
H: 0.148 0.755 0.677
H: 0.264 0.664 0.816
H: 0.740 0.162 0.176
H: 0.685 0.249 0.325
H: 0.838 0.260 0.824
H: 0.751 0.315 0.675
H: 0.245 0.852 0.323
H: 0.336 0.736 0.184
H: 0.212 0.292 0.398
H: 0.900 0.589 0.172
H: 0.283 0.215 0.896
H: 0.567 0.855 0.692
H: 0.785 0.717 0.104
H: 0.145 0.433 0.308
H: 0.708 0.788 0.602
H: 0.411 0.100 0.828
O: 0.128 0.888 0.653
O: 0.394 0.639 0.841
O: 0.875 0.136 0.160
O: 0.647 0.379 0.340
O: 0.864 0.125 0.840
O: 0.621 0.353 0.660
O: 0.112 0.872 0.347
O: 0.361 0.606 0.159
O: 0.009 0.799 0.839
O: 0.304 0.512 0.659
O: 0.797 0.030 0.353
O: 0.533 0.302 0.143
O: 0.970 0.203 0.647
O: 0.698 0.467 0.857
O: 0.201 0.991 0.161
O: 0.488 0.696 0.341
O: 0.489 0.977 0.474
O: 0.470 0.995 0.021
O: 0.005 0.530 0.979
O: 0.023 0.511 0.526
O: 0.192 0.306 0.317
O: 0.806 0.678 0.181
O: 0.322 0.194 0.819
O: 0.694 0.808 0.683
O: 0.252 0.266 0.504
O: 0.761 0.760 0.994
O: 0.240 0.239 0.006
O: 0.734 0.748 0.496



# 2
# KMg2AlFeSi3O12

A relaxed KMg2AlFeSi3O12 crystal (PBE with a Hubbard U, Materials Project).

raw total energy = -7.009 eV/atom
DFT formation energy = -2.92 eV/atom

Lattice parameters (Å, degrees): 9.233 10.670 11.403 113.98 82.61 90.73
Fractional positions:
K: 0.248 0.635 0.027
K: 0.248 0.135 0.027
K: 0.748 0.385 0.027
K: 0.748 0.885 0.027
Mg: 0.170 0.994 0.495
Mg: 0.170 0.494 0.495
Mg: 0.670 0.744 0.495
Mg: 0.670 0.244 0.495
Mg: 0.331 0.753 0.496
Mg: 0.331 0.253 0.496
Mg: 0.831 0.503 0.496
Mg: 0.831 0.003 0.496
Al: 0.049 0.974 0.227
Al: 0.049 0.474 0.227
Al: 0.549 0.724 0.228
Al: 0.549 0.224 0.228
Fe: 0.497 0.996 0.496
Fe: 0.997 0.746 0.496
Fe: 0.497 0.496 0.496
Fe: 0.997 0.246 0.496
Si: 0.383 0.469 0.224
Si: 0.383 0.969 0.224
Si: 0.883 0.219 0.224
Si: 0.883 0.719 0.224
Si: 0.453 0.776 0.769
Si: 0.453 0.276 0.769
Si: 0.953 0.526 0.769
Si: 0.953 0.026 0.769
Si: 0.121 0.278 0.769
Si: 0.121 0.778 0.769
Si: 0.621 0.028 0.769
Si: 0.621 0.528 0.769
O: 0.503 0.341 0.167
O: 0.503 0.841 0.167
O: 0.003 0.091 0.167
O: 0.003 0.591 0.167
O: 0.025 0.926 0.826
O: 0.025 0.426 0.826
O: 0.525 0.676 0.826
O: 0.525 0.176 0.826
O: 0.437 0.585 0.171
O: 0.437 0.085 0.171
O: 0.937 0.334 0.171
O: 0.937 0.834 0.171
O: 0.229 0.913 0.169
O: 0.229 0.413 0.169
O: 0.729 0.663 0.169
O: 0.729 0.163 0.169
O: 0.031 0.175 0.826
O: 0.031 0.675 0.826
O: 0.531 0.925 0.826
O: 0.531 0.425 0.826
O: 0.278 0.806 0.828
O: 0.278 0.306 0.828
O: 0.778 0.556 0.828
O: 0.778 0.056 0.828
O: 0.019 0.045 0.400
O: 0.019 0.545 0.400
O: 0.519 0.795 0.400
O: 0.519 0.295 0.400
O: 0.354 0.537 0.387
O: 0.354 0.037 0.387
O: 0.854 0.287 0.387
O: 0.854 0.787 0.387
O: 0.479 0.710 0.611
O: 0.479 0.210 0.611
O: 0.979 0.460 0.611
O: 0.979 0.960 0.611
O: 0.150 0.212 0.611
O: 0.150 0.712 0.611
O: 0.649 0.962 0.611
O: 0.649 0.462 0.611
O: 0.159 0.785 0.412
O: 0.159 0.285 0.411
O: 0.659 0.535 0.411
O: 0.659 0.035 0.411
O: 0.336 0.966 0.590
O: 0.336 0.466 0.590
O: 0.836 0.716 0.590
O: 0.836 0.216 0.590